Entry 1:
This record from Materials Project describes crystalline Ca5Si3 at its relaxed geometry. The functional is meta-GGA r2SCAN.

Output
DFT formation energy = -554 meV per atom
space group = I4/mcm

Unit cell a=9.1581 b=9.1581 c=9.1581 alpha=130.60 beta=130.60 gamma=72.45
Sites, in units of the cell vectors:
Ca (0.0000, 0.0000, 0.0000)
Ca (0.0415, 0.5415, 0.8611)
Ca (0.1804, 0.0415, 0.5000)
Ca (0.3196, 0.8196, 0.8611)
Ca (0.4585, 0.3196, 0.5000)
Ca (0.5000, 0.5000, 0.0000)
Ca (0.5415, 0.6804, 0.5000)
Ca (0.6804, 0.1804, 0.1389)
Ca (0.8196, 0.9585, 0.5000)
Ca (0.9585, 0.4585, 0.1389)
Si (0.1121, 0.3879, 0.5000)
Si (0.2500, 0.2500, 0.0000)
Si (0.3879, 0.8879, 0.2758)
Si (0.6121, 0.1121, 0.7242)
Si (0.7500, 0.7500, 0.0000)
Si (0.8879, 0.6121, 0.5000)

Entry 2:
This record from Materials Project describes crystalline SrCa3Si4 at its relaxed geometry. The functional is meta-GGA r2SCAN.

Output
DFT formation energy = -573 meV per atom
space group = Pmm2

Unit cell a=3.9418 b=4.6157 c=10.9044 alpha=90.00 beta=90.00 gamma=90.00
Sites, in units of the cell vectors:
Sr (0.0000, 0.0000, 0.0000)
Ca (0.0000, 0.5000, 0.4984)
Ca (0.5000, 0.0000, 0.7176)
Ca (0.5000, 0.5000, 0.2275)
Si (0.0000, 0.0000, 0.2966)
Si (0.0000, 0.5000, 0.7841)
Si (0.5000, 0.0000, 0.4304)
Si (0.5000, 0.5000, 0.9173)

Entry 3:
This record from Materials Project describes crystalline CaZnSi at its relaxed geometry. The functional is meta-GGA r2SCAN.

Output
DFT formation energy = -523 meV per atom
space group = P6_3/mmc

Unit cell a=4.1943 b=4.1943 c=8.3215 alpha=90.00 beta=90.00 gamma=120.00
Sites, in units of the cell vectors:
Ca (0.0000, 0.0000, 0.0000)
Ca (0.0000, 0.0000, 0.5000)
Zn (0.3333, 0.6667, 0.2500)
Zn (0.6667, 0.3333, 0.7500)
Si (0.3333, 0.6667, 0.7500)
Si (0.6667, 0.3333, 0.2500)

Listing calculated total energy for the structures above in their given order: -0.3029 -0.3488 -0.3221 Ha/atom.